# 1
Density functional theory data (GGA-PBE) for an optimized crystal structure of CrS2.

POSCAR file:
```
CrS2
1.0
-2.503 -2.092 0.606
2.343 -0.812 -2.204
3.222 -2.587 4.378
Cr S
1 2
direct
0.000 0.000 0.000
0.333 0.667 0.227
0.667 0.333 0.773
```

- Mass density: 3.4 g/cm³
- Final energy: -19.53 eV per cell
- Formation energy from the elements: -252 kJ/mol of formula units
- Space-group type: P-3m1 (164)

=====

# 2
Density functional theory data (GGA-PBE) for an optimized crystal structure of CrS2.

POSCAR file:
```
CrS2
1.0
-2.712 2.712 4.910
2.712 -2.712 4.910
2.712 2.712 -4.910
S Cr
4 2
direct
0.875 0.905 0.530
0.095 0.625 0.970
0.655 0.125 0.030
0.375 0.345 0.470
0.000 0.000 0.000
0.750 0.250 0.500
```

- Mass density: 2.7 g/cm³
- Final energy: -37.93 eV per cell
- Formation energy from the elements: -197 kJ/mol of formula units
- Total magnetization: 4.00 μB per cell
- Space-group type: I-42d (122)

=====

# 3
Density functional theory data (GGA-PBE) for an optimized crystal structure of Cr2S5.

POSCAR file:
```
Cr2S5
1.0
-0.964 -2.327 3.421
6.416 -1.524 0.771
1.635 10.903 7.877
Cr S
4 10
direct
0.019 0.094 0.852
0.519 0.906 0.648
0.019 0.092 0.148
0.519 0.907 0.353
0.519 0.607 0.640
0.019 0.391 0.140
0.519 0.986 0.815
0.519 0.030 0.500
0.519 0.607 0.358
0.019 0.015 0.316
0.019 0.013 0.685
0.519 0.986 0.185
0.019 0.973 0.000
0.019 0.393 0.859
```

- Mass density: 2.3 g/cm³
- Final energy: -82.88 eV per cell
- Formation energy from the elements: -383 kJ/mol of formula units
- Total magnetization: 0.00 μB per cell
- Space-group type: Pm (6)

=====

# 4
Density functional theory data (GGA-PBE) for an optimized crystal structure of CrS2.

POSCAR file:
```
CrS2
1.0
-1.593 -2.893 -0.259
-3.302 -0.047 -0.259
0.066 0.040 -10.712
S Cr
2 1
direct
0.313 0.313 0.128
0.687 0.687 0.872
0.000 0.000 0.000
```

- Mass density: 1.9 g/cm³
- Final energy: -19.51 eV per cell
- Formation energy from the elements: -250 kJ/mol of formula units
- Space-group type: C2/m (12)

=====

# 5
Density functional theory data (GGA-PBE) for an optimized crystal structure of CrSbS3.

POSCAR file:
```
CrSbS3
1.0
3.661 0.000 0.000
0.000 8.879 0.000
0.000 0.000 12.847
Sb S Cr
4 12 4
direct
0.250 0.026 0.340
0.750 0.474 0.840
0.250 0.526 0.160
0.750 0.974 0.660
0.250 0.497 0.396
0.750 0.827 0.487
0.250 0.997 0.104
0.250 0.173 0.513
0.750 0.212 0.291
0.750 0.003 0.896
0.250 0.788 0.709
0.250 0.288 0.791
0.750 0.503 0.604
0.250 0.673 0.987
0.750 0.712 0.209
0.750 0.327 0.013
0.750 0.843 0.044
0.750 0.343 0.456
0.250 0.157 0.956
0.250 0.657 0.544
```

- Mass density: 4.3 g/cm³
- Final energy: -114.45 eV per cell
- Formation energy from the elements: -379 kJ/mol of formula units
- Space-group type: Pnma (62)

=====

# 6
Density functional theory data (GGA-PBE) for an optimized crystal structure of Cr4Se3S3.

POSCAR file:
```
Cr4Se3S3
1.0
-2.680 4.815 -3.620
-6.368 1.699 0.182
-2.275 5.683 2.450
Cr Se S
4 3 3
direct
0.664 0.664 0.664
0.509 0.509 0.509
0.994 0.994 0.994
0.325 0.325 0.325
0.087 0.749 0.412
0.749 0.412 0.087
0.412 0.087 0.749
0.591 0.905 0.264
0.905 0.264 0.591
0.264 0.591 0.905
```

- Mass density: 4.9 g/cm³
- Final energy: -67.57 eV per cell
- Formation energy from the elements: -731 kJ/mol of formula units
- Total magnetization: 6.00 μB per cell
- Space-group type: R3 (146)

=====

# 7
Density functional theory data (GGA-PBE) for an optimized crystal structure of Y6CrSi2S14.

POSCAR file:
```
Y6CrSi2S14
1.0
-7.103 3.974 5.666
-1.010 -0.114 -9.864
-2.541 -4.995 0.318
Si S Y Cr
2 14 6 1
direct
0.000 0.000 0.662
0.333 0.667 0.165
0.000 0.000 0.037
0.559 0.744 0.015
0.421 0.171 0.752
0.079 0.854 0.512
0.750 0.579 0.752
0.185 0.441 0.015
0.507 0.419 0.276
0.581 0.088 0.276
0.912 0.493 0.276
0.333 0.667 0.540
0.775 0.921 0.512
0.256 0.815 0.015
0.829 0.250 0.752
0.146 0.225 0.512
0.900 0.211 0.251
0.023 0.566 0.749
0.311 0.100 0.251
0.434 0.457 0.749
0.543 0.977 0.749
0.789 0.689 0.251
0.667 0.333 0.513
```

- Mass density: 3.8 g/cm³
- Final energy: -153.32 eV per cell
- Formation energy from the elements: -4164 kJ/mol of formula units
- Total magnetization: 4.00 μB per cell
- Space-group type: P3 (143)

=====

# 8
Density functional theory data (GGA-PBE) for an optimized crystal structure of SmCrS3.

POSCAR file:
```
SmCrS3
1.0
-3.110 0.610 -2.027
4.157 -0.625 -6.565
-2.318 -12.690 -0.259
Cr Sm S
4 4 12
direct
0.750 0.664 0.950
0.250 0.836 0.450
0.250 0.336 0.050
0.750 0.164 0.550
0.750 0.914 0.173
0.750 0.414 0.327
0.250 0.086 0.827
0.250 0.586 0.673
0.250 0.194 0.214
0.250 0.492 0.893
0.750 0.657 0.508
0.750 0.508 0.107
0.250 0.843 0.008
0.250 0.992 0.607
0.250 0.694 0.286
0.750 0.008 0.393
0.750 0.157 0.992
0.250 0.343 0.492
0.750 0.806 0.786
0.750 0.306 0.714
```

- Mass density: 5.2 g/cm³
- Final energy: -134.71 eV per cell
- Formation energy from the elements: -811 kJ/mol of formula units
- Space-group type: Pnma (62)